Ba7Ga4As9 | PBE | optimized geometry

Lattice parameters (Å, degrees): 6.9153 10.2618 17.2810 90.00 90.00 90.00
Atoms (fractional coordinates):
Ba (0.4513, 0.5000, 0.7849)
Ba (0.4513, 0.5000, 0.2151)
Ba (0.5487, 0.0000, 0.7151)
Ba (0.5487, 0.0000, 0.2849)
Ba (0.9453, 0.2766, 0.8750)
Ba (0.9453, 0.7234, 0.8750)
Ba (0.9453, 0.2766, 0.1250)
Ba (0.9453, 0.7234, 0.1250)
Ba (0.0547, 0.2234, 0.6250)
Ba (0.0547, 0.7766, 0.6250)
Ba (0.0547, 0.2234, 0.3750)
Ba (0.0547, 0.7766, 0.3750)
Ba (0.4077, 0.5000, 0.5000)
Ba (0.5923, 0.0000, 0.0000)
Ga (0.7652, 0.5000, 0.3756)
Ga (0.7652, 0.5000, 0.6244)
Ga (0.2348, 0.0000, 0.1244)
Ga (0.2348, 0.0000, 0.8756)
Ga (0.5701, 0.8251, 0.5000)
Ga (0.5701, 0.1749, 0.5000)
Ga (0.4299, 0.6749, 0.0000)
Ga (0.4299, 0.3251, 0.0000)
As (0.5583, 0.2914, 0.3711)
As (0.5583, 0.7086, 0.3711)
As (0.5583, 0.2914, 0.6289)
As (0.5583, 0.7086, 0.6289)
As (0.4417, 0.2086, 0.1289)
As (0.4417, 0.7914, 0.1289)
As (0.4417, 0.2086, 0.8711)
As (0.4417, 0.7914, 0.8711)
As (0.9799, 0.5000, 0.2619)
As (0.9799, 0.5000, 0.7381)
As (0.0201, 0.0000, 0.2381)
As (0.0201, 0.0000, 0.7619)
As (0.6988, 0.5000, 0.0000)
As (0.3012, 0.0000, 0.5000)
As (0.1617, 0.5000, 0.0000)
As (0.8383, 0.0000, 0.5000)
As (0.9543, 0.5000, 0.5000)
As (0.0457, 0.0000, 0.0000)

## Properties
**Final energy**: -4.27 eV/atom
**SG**: Pmmn (59)

=====

BaGeAs2O8 | PBE | optimized geometry

Lattice parameters (Å, degrees): 4.9995 4.9995 7.9508 87.42 87.42 65.23
Atoms (fractional coordinates):
Ba (0.0000, 0.0000, 0.5000)
Ge (0.0000, 0.0000, 0.0000)
As (0.3617, 0.3617, 0.8051)
As (0.6383, 0.6383, 0.1949)
O (0.3094, 0.3094, 0.6030)
O (0.6906, 0.6906, 0.3970)
O (0.7426, 0.2254, 0.8232)
O (0.2574, 0.7746, 0.1768)
O (0.7746, 0.2574, 0.1768)
O (0.2254, 0.7426, 0.8232)
O (0.2218, 0.2218, 0.9691)
O (0.7782, 0.7782, 0.0309)

## Properties
**Size of the total moment**: 0.000 μB per atom
**Final energy**: -6.32 eV/atom
**SG**: C2/m (12)

=====

BaAsHO4 | PBE | optimized geometry

Lattice parameters (Å, degrees): 7.3758 7.8538 22.2026 90.00 96.09 90.00
Atoms (fractional coordinates):
Ba (0.8465, 0.8263, 0.0025)
Ba (0.1535, 0.3263, 0.9975)
Ba (0.5604, 0.5038, 0.1683)
Ba (0.4396, 0.0038, 0.8317)
Ba (0.2612, 0.0322, 0.1776)
Ba (0.7388, 0.5322, 0.8224)
Ba (0.0000, 0.3215, 0.3135)
Ba (0.0000, 0.8215, 0.6865)
Ba (0.7239, 0.8303, 0.3304)
Ba (0.2761, 0.3303, 0.6696)
Ba (0.6442, 0.2350, 0.4819)
Ba (0.3558, 0.7350, 0.5181)
As (0.3323, 0.8434, 0.0069)
As (0.6677, 0.3434, 0.9931)
As (0.0482, 0.4960, 0.1452)
As (0.9518, 0.9960, 0.8548)
As (0.7586, 0.0127, 0.1874)
As (0.2414, 0.5127, 0.8126)
As (0.5139, 0.3305, 0.3221)
As (0.4861, 0.8305, 0.6779)
As (0.2301, 0.8027, 0.3371)
As (0.7699, 0.3027, 0.6629)
As (0.1572, 0.2447, 0.4978)
As (0.8428, 0.7447, 0.5022)
H (0.5012, 0.6106, 0.0468)
H (0.4988, 0.1106, 0.9532)
H (0.1427, 0.6662, 0.2266)
H (0.8573, 0.1662, 0.7734)
H (0.8423, 0.0992, 0.0927)
H (0.1577, 0.5992, 0.9073)
H (0.3905, 0.5251, 0.3893)
H (0.6095, 0.0251, 0.6107)
H (0.1787, 0.0116, 0.4086)
H (0.8213, 0.5116, 0.5914)
H (0.0219, 0.0315, 0.5533)
H (0.9781, 0.5315, 0.4467)
O (0.2255, 0.9904, 0.0468)
O (0.7745, 0.4904, 0.9532)
O (0.8171, 0.1932, 0.0252)
O (0.1829, 0.6932, 0.9748)
O (0.5216, 0.4237, 0.0412)
O (0.4784, 0.9237, 0.9588)
O (0.4882, 0.7360, 0.0615)
O (0.5118, 0.2360, 0.9385)
O (0.9236, 0.5778, 0.0836)
O (0.0764, 0.0778, 0.9164)
O (0.9188, 0.4172, 0.1973)
O (0.0812, 0.9172, 0.8027)
O (0.2122, 0.3598, 0.1244)
O (0.7878, 0.8598, 0.8756)
O (0.1821, 0.6652, 0.1847)
O (0.8179, 0.1652, 0.8153)
O (0.5972, 0.1666, 0.1744)
O (0.4028, 0.6666, 0.8256)
O (0.6541, 0.8252, 0.2010)
O (0.3459, 0.3252, 0.7990)
O (0.9288, 0.0427, 0.2451)
O (0.0712, 0.5427, 0.7549)
O (0.8804, 0.0017, 0.1213)
O (0.1196, 0.5017, 0.8787)
O (0.3361, 0.2910, 0.2687)
O (0.6639, 0.7910, 0.7313)
O (0.6538, 0.1702, 0.3507)
O (0.3462, 0.6702, 0.6493)
O (0.6484, 0.4934, 0.3006)
O (0.3516, 0.9934, 0.6994)
O (0.4111, 0.3934, 0.3890)
O (0.5889, 0.8934, 0.6110)
O (0.3648, 0.8813, 0.2864)
O (0.6352, 0.3813, 0.7136)
O (0.0641, 0.6710, 0.3047)
O (0.9359, 0.1710, 0.6953)
O (0.3676, 0.7129, 0.3963)
O (0.6324, 0.2129, 0.6037)
O (0.1091, 0.9748, 0.3686)
O (0.8909, 0.4748, 0.6314)
O (0.7060, 0.8975, 0.4679)
O (0.2940, 0.3975, 0.5321)
O (0.0072, 0.8243, 0.5556)
O (0.9928, 0.3243, 0.4444)
O (0.2816, 0.0779, 0.4734)
O (0.7184, 0.5779, 0.5266)
O (0.0307, 0.1613, 0.5558)
O (0.9693, 0.6613, 0.4442)

## Properties
**Size of the total moment**: 0.000 μB per atom
**Offset from the most stable computed form**: 5 kJ/mol of formula units
**SG**: P2_1 (4)

=====

Ba3As4H2O14 | PBE | optimized geometry

Lattice parameters (Å, degrees): 7.4436 7.4436 14.5811 76.95 76.95 70.46
Atoms (fractional coordinates):
Ba (0.3822, 0.6178, 0.7500)
Ba (0.6178, 0.3822, 0.2500)
Ba (0.2232, 0.2328, 0.0462)
Ba (0.7672, 0.7768, 0.4538)
Ba (0.7768, 0.7672, 0.9538)
Ba (0.2328, 0.2232, 0.5462)
As (0.7378, 0.2939, 0.9605)
As (0.7061, 0.2622, 0.5395)
As (0.2622, 0.7061, 0.0395)
As (0.2939, 0.7378, 0.4605)
As (0.1225, 0.2008, 0.8054)
As (0.7992, 0.8775, 0.6946)
As (0.8775, 0.7992, 0.1946)
As (0.2008, 0.1225, 0.3054)
H (0.9693, 0.4965, 0.7257)
H (0.5035, 0.0307, 0.7743)
H (0.0307, 0.5035, 0.2743)
H (0.4965, 0.9693, 0.2257)
O (0.9457, 0.1222, 0.8934)
O (0.8778, 0.0543, 0.6066)
O (0.0543, 0.8778, 0.1066)
O (0.1222, 0.9457, 0.3934)
O (0.9980, 0.3615, 0.7140)
O (0.6385, 0.0020, 0.7860)
O (0.0020, 0.6385, 0.2860)
O (0.3615, 0.9980, 0.2140)
O (0.6112, 0.1342, 0.0072)
O (0.8658, 0.3888, 0.4928)
O (0.3888, 0.8658, 0.9928)
O (0.1342, 0.6112, 0.5072)
O (0.6446, 0.4911, 0.8816)
O (0.5089, 0.3554, 0.6184)
O (0.3554, 0.5089, 0.1184)
O (0.4911, 0.6446, 0.3816)
O (0.8339, 0.3603, 0.0386)
O (0.6397, 0.1661, 0.4614)
O (0.1661, 0.6397, 0.9614)
O (0.3603, 0.8339, 0.5386)
O (0.2265, 0.3215, 0.8518)
O (0.6785, 0.7735, 0.6482)
O (0.7735, 0.6785, 0.1482)
O (0.3215, 0.2265, 0.3518)
O (0.2718, 0.0164, 0.7502)
O (0.9836, 0.7282, 0.7498)
O (0.7282, 0.9836, 0.2498)
O (0.0164, 0.2718, 0.2502)

## Properties
**Size of the total moment**: 0.000 μB per atom
**Final energy**: -6.17 eV/atom
**SG**: C2/c (15)

=====

BaAsHO4 | PBE | optimized geometry

Lattice parameters (Å, degrees): 8.7147 10.0959 19.7992 90.00 90.00 90.00
Atoms (fractional coordinates):
Ba (0.3672, 0.6826, 0.3819)
Ba (0.8672, 0.8174, 0.6181)
Ba (0.6328, 0.1826, 0.1181)
Ba (0.1328, 0.3174, 0.8819)
Ba (0.6328, 0.3174, 0.6181)
Ba (0.1328, 0.1826, 0.3819)
Ba (0.3672, 0.8174, 0.8819)
Ba (0.8672, 0.6826, 0.1181)
Ba (0.6239, 0.3221, 0.3744)
Ba (0.1239, 0.1779, 0.6256)
Ba (0.3761, 0.8221, 0.1256)
Ba (0.8761, 0.6779, 0.8744)
Ba (0.3761, 0.6779, 0.6256)
Ba (0.8761, 0.8221, 0.3744)
Ba (0.6239, 0.1779, 0.8744)
Ba (0.1239, 0.3221, 0.1256)
As (0.0204, 0.4787, 0.2933)
As (0.5204, 0.0213, 0.7067)
As (0.9796, 0.9787, 0.2067)
As (0.4796, 0.5213, 0.7933)
As (0.9796, 0.5213, 0.7067)
As (0.4796, 0.9787, 0.2933)
As (0.0204, 0.0213, 0.7933)
As (0.5204, 0.4787, 0.2067)
As (0.7451, 0.0761, 0.4956)
As (0.2451, 0.4239, 0.5044)
As (0.2549, 0.5761, 0.0044)
As (0.7549, 0.9239, 0.9956)
As (0.2549, 0.9239, 0.5044)
As (0.7549, 0.5761, 0.4956)
As (0.7451, 0.4239, 0.9956)
As (0.2451, 0.0761, 0.0044)
H (0.2866, 0.4245, 0.2800)
H (0.7866, 0.0755, 0.7200)
H (0.7134, 0.9245, 0.2200)
H (0.2134, 0.5755, 0.7800)
H (0.7134, 0.5755, 0.7200)
H (0.2134, 0.9245, 0.2800)
H (0.2866, 0.0755, 0.7800)
H (0.7866, 0.4245, 0.2200)
H (0.5831, 0.8842, 0.4998)
H (0.0831, 0.6158, 0.5002)
H (0.4169, 0.3842, 0.0002)
H (0.9169, 0.1158, 0.9998)
H (0.4169, 0.1158, 0.5002)
H (0.9169, 0.3842, 0.4998)
H (0.5831, 0.6158, 0.9998)
H (0.0831, 0.8842, 0.0002)
O (0.9181, 0.3788, 0.3455)
O (0.4181, 0.1212, 0.6545)
O (0.0819, 0.8788, 0.1545)
O (0.5819, 0.6212, 0.8455)
O (0.0819, 0.6212, 0.6545)
O (0.5819, 0.8788, 0.3455)
O (0.9181, 0.1212, 0.8455)
O (0.4181, 0.3788, 0.1545)
O (0.9376, 0.4941, 0.2144)
O (0.4376, 0.0059, 0.7856)
O (0.0624, 0.9941, 0.2856)
O (0.5624, 0.5059, 0.7144)
O (0.0624, 0.5059, 0.7856)
O (0.5624, 0.9941, 0.2144)
O (0.9376, 0.0059, 0.7144)
O (0.4376, 0.4941, 0.2856)
O (0.1822, 0.3745, 0.2751)
O (0.6822, 0.1255, 0.7249)
O (0.8178, 0.8745, 0.2249)
O (0.3178, 0.6255, 0.7751)
O (0.8178, 0.6255, 0.7249)
O (0.3178, 0.8745, 0.2751)
O (0.1822, 0.1255, 0.7751)
O (0.6822, 0.3745, 0.2249)
O (0.0760, 0.6264, 0.3262)
O (0.5760, 0.8736, 0.6738)
O (0.9240, 0.1264, 0.1738)
O (0.4240, 0.3736, 0.8262)
O (0.9240, 0.3736, 0.6738)
O (0.4240, 0.1264, 0.3262)
O (0.0760, 0.8736, 0.8262)
O (0.5760, 0.6264, 0.1738)
O (0.7004, 0.9030, 0.4987)
O (0.2004, 0.5970, 0.5013)
O (0.2996, 0.4030, 0.0013)
O (0.7996, 0.0970, 0.9987)
O (0.2996, 0.0970, 0.5013)
O (0.7996, 0.4030, 0.4987)
O (0.7004, 0.5970, 0.9987)
O (0.2004, 0.9030, 0.0013)
O (0.8429, 0.1022, 0.5691)
O (0.3429, 0.3978, 0.4309)
O (0.1571, 0.6022, 0.9309)
O (0.6571, 0.8978, 0.0691)
O (0.1571, 0.8978, 0.4309)
O (0.6571, 0.6022, 0.5691)
O (0.8429, 0.3978, 0.0691)
O (0.3429, 0.1022, 0.9309)
O (0.8438, 0.0953, 0.4218)
O (0.3438, 0.4047, 0.5782)
O (0.1562, 0.5953, 0.0782)
O (0.6562, 0.9047, 0.9218)
O (0.1562, 0.9047, 0.5782)
O (0.6562, 0.5953, 0.4218)
O (0.8438, 0.4047, 0.9218)
O (0.3438, 0.0953, 0.0782)
O (0.5800, 0.1686, 0.4944)
O (0.0800, 0.3314, 0.5056)
O (0.4200, 0.6686, 0.0056)
O (0.9200, 0.8314, 0.9944)
O (0.4200, 0.8314, 0.5056)
O (0.9200, 0.6686, 0.4944)
O (0.5800, 0.3314, 0.9944)
O (0.0800, 0.1686, 0.0056)

## Properties
**Size of the total moment**: 0.000 μB per atom
**Offset from the most stable computed form**: 0 kJ/mol of formula units
**SG**: Pbca (61)

=====

BaAsH3O5 | PBE | optimized geometry

Lattice parameters (Å, degrees): 7.9823 8.7871 14.8886 90.00 90.00 90.00
Atoms (fractional coordinates):
Ba (0.1361, 0.1844, 0.4175)
Ba (0.6361, 0.3156, 0.5825)
Ba (0.8639, 0.6844, 0.0825)
Ba (0.3639, 0.8156, 0.9175)
Ba (0.8639, 0.8156, 0.5825)
Ba (0.3639, 0.6844, 0.4175)
Ba (0.1361, 0.3156, 0.9175)
Ba (0.6361, 0.1844, 0.0825)
As (0.6498, 0.0620, 0.3853)
As (0.1498, 0.4380, 0.6147)
As (0.3502, 0.5620, 0.1147)
As (0.8502, 0.9380, 0.8853)
As (0.3502, 0.9380, 0.6147)
As (0.8502, 0.5620, 0.3853)
As (0.6498, 0.4380, 0.8853)
As (0.1498, 0.0620, 0.1147)
H (0.9012, 0.4005, 0.2258)
H (0.4012, 0.0995, 0.7742)
H (0.0988, 0.9005, 0.2742)
H (0.5988, 0.5995, 0.7258)
H (0.0988, 0.5995, 0.7742)
H (0.5988, 0.9005, 0.2258)
H (0.9012, 0.0995, 0.7258)
H (0.4012, 0.4005, 0.2742)
H (0.9490, 0.3223, 0.1318)
H (0.4490, 0.1777, 0.8682)
H (0.0510, 0.8223, 0.3682)
H (0.5510, 0.6777, 0.6318)
H (0.0510, 0.6777, 0.8682)
H (0.5510, 0.8223, 0.1318)
H (0.9490, 0.1777, 0.6318)
H (0.4490, 0.3223, 0.3682)
H (0.7743, 0.2598, 0.3092)
H (0.2743, 0.2402, 0.6908)
H (0.2257, 0.7598, 0.1908)
H (0.7257, 0.7402, 0.8092)
H (0.2257, 0.7402, 0.6908)
H (0.7257, 0.7598, 0.3092)
H (0.7743, 0.2402, 0.8092)
H (0.2743, 0.2598, 0.1908)
O (0.3777, 0.0976, 0.8400)
O (0.8777, 0.4024, 0.1600)
O (0.6223, 0.5976, 0.6600)
O (0.1223, 0.9024, 0.3400)
O (0.6223, 0.9024, 0.1600)
O (0.1223, 0.5976, 0.8400)
O (0.3777, 0.4024, 0.3400)
O (0.8777, 0.0976, 0.6600)
O (0.4896, 0.1633, 0.4331)
O (0.9896, 0.3367, 0.5669)
O (0.5104, 0.6633, 0.0669)
O (0.0104, 0.8367, 0.9331)
O (0.5104, 0.8367, 0.5669)
O (0.0104, 0.6633, 0.4331)
O (0.4896, 0.3367, 0.9331)
O (0.9896, 0.1633, 0.0669)
O (0.8148, 0.0564, 0.4579)
O (0.3148, 0.4436, 0.5421)
O (0.1852, 0.5564, 0.0421)
O (0.6852, 0.9436, 0.9579)
O (0.1852, 0.9436, 0.5421)
O (0.6852, 0.5564, 0.4579)
O (0.8148, 0.4436, 0.9579)
O (0.3148, 0.0564, 0.0421)
O (0.5902, 0.8898, 0.3419)
O (0.0902, 0.6102, 0.6581)
O (0.4098, 0.3898, 0.1581)
O (0.9098, 0.1102, 0.8419)
O (0.4098, 0.1102, 0.6581)
O (0.9098, 0.3898, 0.3419)
O (0.5902, 0.6102, 0.8419)
O (0.0902, 0.8898, 0.1581)
O (0.7106, 0.1670, 0.2873)
O (0.2106, 0.3330, 0.7127)
O (0.2894, 0.6670, 0.2127)
O (0.7894, 0.8330, 0.7873)
O (0.2894, 0.8330, 0.7127)
O (0.7894, 0.6670, 0.2873)
O (0.7106, 0.3330, 0.7873)
O (0.2106, 0.1670, 0.2127)

## Properties
**Size of the total moment**: 0.000 μB per atom
**Final energy**: -5.76 eV/atom
**SG**: Pbca (61)